Record 1
KH2OsBr4N (PBE-GGA, optimized geometry); E above lowest polymorph = 0.000 eV/atom; space-group type = No. 36
1.0
2.1741 -5.6078 -4.8377
-4.8605 3.9374 -6.7486
8.8180 2.2619 1.3408
K H Os Br N
2 4 2 8 2
Cartesian
6.1686 -1.3028 -4.6845 K
-0.1322 2.1398 -5.3491 K
1.4345 -0.7941 -7.5660 H
4.6599 1.4815 -2.5968 H
0.1800 -1.7378 -9.5659 H
6.8078 0.1211 -2.5846 H
-0.8009 -0.4788 -8.8403 Os
6.8615 1.2534 -1.2471 Os
0.3339 -1.8829 -6.8505 Br
5.7789 2.5229 -3.3532 Br
4.3567 0.2951 -1.4098 Br
1.7561 0.3449 -8.7939 Br
5.9410 0.4779 -7.6093 Br
0.3632 -0.3314 -3.0202 Br
2.8282 3.5299 -6.3885 Br
3.4760 -3.3835 -4.2410 Br
-1.0278 0.7059 -7.6484 N
6.1467 2.4978 -0.3437 N

Record 2
K2HBrO (PBE-GGA, optimized geometry); space-group type = No. 11
1.0
-4.3170 0.0000 0.0000
0.0000 -6.8320 0.0000
0.0000 2.6762 8.1660
K H Br O
4 2 2 2
Cartesian
-1.0793 -1.8925 0.2895 K
-3.2378 -2.2633 7.8766 K
-3.2378 -3.7947 3.1339 K
-1.0793 -0.3611 5.0321 K
-3.2378 0.9914 6.4403 H
-1.0793 -5.1472 1.7257 H
-3.2378 -0.4306 2.4506 Br
-1.0793 -3.7252 5.7155 Br
-3.2378 0.0672 6.7549 O
-1.0793 -4.2230 1.4112 O

Record 3
K3H3PtS2Br2O7 (PBE-GGA, optimized geometry); space-group type = No. 14
1.0
-4.3181 -0.8026 -5.6291
5.1986 -6.4969 -3.0614
-9.5324 -17.2429 9.7709
K H Pt S Br O
12 12 4 8 8 28
Cartesian
-1.4855 -8.7819 -2.9924 K
-1.0576 -6.8895 0.9376 K
-7.1664 -15.7606 4.0727 K
-7.5943 -17.6529 0.1428 K
0.9664 -5.4151 -5.6870 K
-3.8277 -10.3155 3.2172 K
-9.6183 -19.1274 6.7673 K
-4.8241 -14.2270 -2.1369 K
2.9211 -8.0813 -2.0257 K
-5.5415 -7.6046 -0.1300 K
-11.5730 -16.4612 3.1060 K
-3.1104 -16.9379 1.2103 K
-4.7338 -20.1712 1.6755 H
-6.8151 -12.6452 6.7269 H
-3.9181 -4.3712 -0.5952 H
-1.8368 -11.8972 -5.6466 H
1.2029 -4.9270 -2.4824 H
-5.0868 -10.9937 -1.3205 H
-9.8547 -19.6155 3.5627 H
-3.5650 -13.5487 2.4008 H
-0.3267 -5.2291 -2.5665 H
-4.7975 -10.9221 -2.8532 H
-8.3252 -19.3133 3.6468 H
-3.8544 -13.6204 3.9335 H
-5.4259 -20.3447 4.5886 Pt
-8.1929 -12.8566 1.1154 Pt
-3.2259 -4.1978 -3.5083 Pt
-0.4590 -11.6859 -0.0351 Pt
-5.5928 -18.6595 3.0866 S
-9.3513 -14.7881 0.8898 S
-3.0591 -5.8830 -2.0063 S
0.6994 -9.7544 0.1905 S
-10.0853 -15.5031 6.1713 S
-4.7743 -17.9288 -2.0848 S
1.4334 -9.0394 -5.0910 S
-3.8775 -6.6137 3.1651 S
-6.1377 -18.6498 6.3402 Br
-6.1009 -14.2949 1.1631 Br
-2.5142 -5.8927 -5.2599 Br
-2.5510 -10.2476 -0.0828 Br
-5.4082 -22.0973 6.3960 Br
-6.7123 -10.8254 1.2613 Br
-3.2437 -2.4452 -5.3157 Br
-1.9396 -13.7170 -0.1810 Br
-8.9053 -16.2956 6.6061 O
-4.7843 -16.9188 -0.9943 O
0.2535 -8.2469 -5.5257 O
-3.8676 -7.6237 2.0746 O
-4.9470 -19.0386 1.7113 O
-6.5698 -13.7719 6.7331 O
-3.7049 -5.5039 -0.6310 O
-2.0821 -10.7706 -5.6528 O
-4.9016 -17.4145 3.4927 O
-8.9803 -15.8356 1.8683 O
-3.7503 -7.1279 -2.4124 O
0.3284 -8.7068 -0.7880 O
-7.0331 -18.3844 2.8092 O
-4.8737 -14.4986 5.1266 O
-1.6188 -6.1581 -1.7289 O
-3.7782 -10.0438 -4.0463 O
-9.7070 -14.9031 4.7888 O
-1.7947 -17.9046 3.6752 O
1.0551 -9.6394 -3.7085 O
-6.8572 -6.6379 -2.5949 O
-6.0614 -22.8745 2.8754 O
-5.6821 -9.9782 5.2735 O
-2.5905 -1.6680 -1.7951 O
-2.9698 -14.5643 -4.1932 O
0.4238 -4.7972 -3.0518 O
-5.4031 -11.3271 -2.1790 O
-9.0757 -19.7453 4.1322 O
-3.2488 -13.2154 3.2593 O

It is found that the ΔH_f (0 K) values, taken in the order of the records, are -187, -1638, -1624 meV per atom.